A plane-wave DFT calculation with PBE was carried out for a relaxed CeMgSi2 crystal.

Total DFT energy (no corrections) ... -5.120 eV/atom
Energy of formation from the pure elements ... -0.4880 eV per atom
Symmetry ... I4_1/amd (141)
Crystal system ... tetragonal

abc: 18.7705 18.7705 18.7705
angles: 167.18 167.18 18.17
Fractional positions:
1 Ce 0.9219 0.9219 0.0000
2 Mg 0.2499 0.2499 0.0000
3 Si 0.6107 0.6107 0.0000
4 Ce 0.0781 0.0781 0.0000
5 Ce 0.8281 0.3281 0.5000
6 Si 0.1393 0.6393 0.5000
7 Mg 0.9999 0.4999 0.5000
8 Si 0.2983 0.7983 0.5000
9 Mg 0.7501 0.7501 0.0000
10 Si 0.3893 0.3893 0.0000
11 Mg 0.5001 0.0001 0.5000
12 Si 0.2017 0.7017 0.5000
13 Si 0.4517 0.4517 0.0000
14 Si 0.3607 0.8607 0.5000
15 Ce 0.6719 0.1719 0.5000
16 Si 0.5483 0.5483 0.0000